P.
Below is a geometry-optimized MgSbS2NF6 structure, with properties calculated at the GGA-PBE level.

```
MgSbS2NF6
1.0
6.589 -0.279 -0.354
-0.332 5.506 2.252
-0.363 0.091 5.946
Mg Sb S N F
1 1 2 1 6
direct
0.000 0.500 0.500
0.000 0.000 0.000
0.510 0.652 0.652
0.490 0.348 0.348
0.500 0.500 0.500
0.291 0.127 0.127
0.709 0.873 0.873
0.897 0.383 0.820
0.103 0.180 0.617
0.103 0.617 0.180
0.897 0.820 0.383
```

Calculated values
SG: C2/m (12)
M_tot, μB/f.u.: 0.000

***

Q.
Below is a geometry-optimized MgSbS2NF6 structure, with properties calculated at the GGA-PBE level.

```
MgSbS2NF6
1.0
6.582 0.121 0.233
0.210 5.934 1.917
0.174 -0.382 6.226
Mg Sb S N F
1 1 2 1 6
direct
0.500 0.073 0.927
0.000 0.000 0.000
0.393 0.714 0.567
0.607 0.433 0.286
0.500 0.564 0.436
0.281 0.050 0.146
0.719 0.854 0.950
0.666 0.299 0.947
0.334 0.053 0.701
0.113 0.696 0.048
0.887 0.952 0.304
```

Calculated values
SG: C2 (5)
M_tot, μB/f.u.: 0.000

***

Most stable one: Q, least stable one: P.

***

P.
Below is a geometry-optimized NaMg3Si4O11F structure, with properties calculated at the GGA-PBE level.

```
NaMg3Si4O11F
1.0
8.286 0.000 0.000
1.351 9.945 0.000
2.366 0.275 11.452
Na Mg Si O F
4 12 16 44 4
direct
0.750 0.270 0.204
0.477 0.223 0.556
0.250 0.730 0.796
0.523 0.777 0.444
0.896 0.739 0.739
0.074 0.776 0.041
0.430 0.885 0.118
0.104 0.261 0.261
0.803 0.019 0.474
0.197 0.981 0.526
0.570 0.115 0.882
0.926 0.224 0.959
0.842 0.295 0.708
0.425 0.321 0.054
0.575 0.679 0.946
0.158 0.705 0.292
0.204 0.080 0.022
0.519 0.954 0.697
0.864 0.030 0.683
0.208 0.107 0.749
0.792 0.893 0.251
0.136 0.970 0.317
0.766 0.536 0.570
0.481 0.046 0.303
0.031 0.481 0.109
0.796 0.920 0.978
0.490 0.562 0.204
0.816 0.589 0.296
0.184 0.411 0.704
0.510 0.438 0.796
0.969 0.519 0.891
0.234 0.464 0.430
0.792 0.669 0.623
0.147 0.121 0.893
0.237 0.914 0.030
0.957 0.845 0.889
0.853 0.879 0.107
0.006 0.627 0.193
0.393 0.067 0.436
0.657 0.614 0.229
0.382 0.139 0.015
0.026 0.090 0.396
0.222 0.847 0.392
0.277 0.962 0.678
0.723 0.038 0.322
0.778 0.153 0.608
0.974 0.910 0.604
0.618 0.861 0.985
0.298 0.035 0.235
0.343 0.386 0.771
0.793 0.756 0.338
0.638 0.445 0.663
0.607 0.933 0.564
0.994 0.373 0.807
0.043 0.155 0.111
0.265 0.464 0.563
0.207 0.244 0.662
0.429 0.098 0.760
0.800 0.615 0.877
0.763 0.086 0.970
0.980 0.110 0.747
0.208 0.331 0.377
0.098 0.574 0.755
0.457 0.572 0.869
0.612 0.312 0.861
0.918 0.414 0.019
0.082 0.586 0.981
0.388 0.688 0.139
0.543 0.428 0.131
0.902 0.426 0.245
0.020 0.890 0.253
0.200 0.385 0.123
0.571 0.902 0.240
0.735 0.536 0.437
0.362 0.555 0.337
0.702 0.965 0.765
0.485 0.817 0.779
0.515 0.183 0.221
0.930 0.414 0.571
0.070 0.586 0.429
```

Calculated values
SG: P-1 (2)
M_tot, μB/f.u.: 0.000

***

Q.
Below is a geometry-optimized NaMg3Si4O11F structure, with properties calculated at the GGA-PBE level.

```
NaMg3Si4O11F
1.0
8.067 0.000 0.000
1.835 10.136 0.000
2.260 0.998 10.705
Na Mg Si O F
4 12 16 44 4
direct
0.755 0.277 0.229
0.497 0.221 0.544
0.245 0.723 0.771
0.503 0.779 0.456
0.879 0.737 0.705
0.099 0.760 0.039
0.447 0.848 0.138
0.121 0.263 0.295
0.817 0.005 0.478
0.183 0.995 0.522
0.553 0.152 0.862
0.901 0.240 0.961
0.896 0.277 0.676
0.426 0.309 0.071
0.574 0.691 0.929
0.104 0.723 0.324
0.194 0.088 0.035
0.521 0.937 0.697
0.865 0.011 0.711
0.224 0.096 0.743
0.776 0.904 0.257
0.135 0.989 0.289
0.741 0.524 0.563
0.479 0.063 0.303
0.029 0.481 0.115
0.806 0.912 0.965
0.477 0.566 0.188
0.793 0.598 0.288
0.207 0.402 0.712
0.523 0.434 0.812
0.971 0.519 0.885
0.259 0.476 0.437
0.759 0.656 0.609
0.138 0.091 0.895
0.213 0.931 0.106
0.985 0.838 0.886
0.862 0.909 0.105
0.003 0.632 0.192
0.382 0.087 0.442
0.644 0.635 0.199
0.370 0.149 0.003
0.022 0.098 0.394
0.242 0.860 0.365
0.301 0.950 0.673
0.699 0.050 0.327
0.758 0.140 0.635
0.978 0.902 0.606
0.630 0.851 0.997
0.288 0.088 0.239
0.356 0.365 0.801
0.780 0.750 0.337
0.656 0.417 0.673
0.618 0.913 0.558
0.997 0.368 0.808
0.015 0.162 0.114
0.324 0.461 0.569
0.220 0.250 0.663
0.442 0.086 0.749
0.805 0.624 0.861
0.787 0.069 0.894
0.029 0.097 0.701
0.241 0.344 0.391
0.109 0.561 0.742
0.467 0.580 0.846
0.618 0.320 0.907
0.906 0.424 0.026
0.094 0.576 0.974
0.382 0.680 0.093
0.533 0.420 0.154
0.891 0.439 0.258
0.971 0.903 0.299
0.195 0.376 0.139
0.558 0.914 0.251
0.676 0.539 0.431
0.344 0.583 0.327
0.712 0.912 0.761
0.450 0.827 0.819
0.550 0.173 0.181
0.922 0.409 0.533
0.078 0.591 0.467
```

Calculated values
SG: P-1 (2)
M_tot, μB/f.u.: 0.000

***

Most stable one: P, least stable one: Q.

***

P.
Below is a geometry-optimized MgNbOF3 structure, with properties calculated at the GGA-PBE level.

```
MgNbOF3
1.0
0.000 4.169 0.000
2.246 -2.084 4.017
4.527 0.000 -0.012
Mg Nb O F
1 1 1 3
direct
0.489 0.977 0.510
0.989 0.977 0.011
0.489 0.977 0.011
0.727 0.453 0.274
0.989 0.978 0.510
0.251 0.501 0.746
```

Calculated values
SG: C2/m (12)
M_tot, μB/f.u.: 1.818

***

Q.
Below is a geometry-optimized MgNbOF3 structure, with properties calculated at the GGA-PBE level.

```
MgNbOF3
1.0
0.001 4.015 0.000
2.126 -2.007 4.923
4.252 0.001 0.001
Mg Nb O F
1 1 1 3
direct
0.252 0.504 0.247
0.993 0.986 0.007
0.465 0.930 0.035
0.765 0.529 0.235
0.041 0.082 0.459
0.216 0.432 0.784
```

Calculated values
SG: Imm2 (44)
M_tot, μB/f.u.: 1.999

***

Most stable one: Q, least stable one: P.

***

P.
Below is a geometry-optimized MgSbOF3 structure, with properties calculated at the GGA-PBE level.

```
MgSbOF3
1.0
4.373 0.039 1.541
-2.604 1.605 4.905
-0.791 -3.241 2.328
Mg Sb O F
1 1 1 3
direct
0.415 0.772 0.614
0.005 0.066 0.967
0.364 0.918 0.041
0.798 0.696 0.152
0.999 0.934 0.533
0.330 0.427 0.787
```

Calculated values
SG: Cm (8)
M_tot, μB/f.u.: 0.000

***

Q.
Below is a geometry-optimized MgSbOF3 structure, with properties calculated at the GGA-PBE level.

```
MgSbOF3
1.0
3.658 -1.187 -0.333
-3.585 -5.247 1.691
-1.273 -3.006 -3.263
Mg Sb O F
1 1 1 3
direct
0.747 0.495 0.828
0.009 0.018 0.957
0.562 0.125 0.019
0.797 0.595 0.170
0.925 0.851 0.472
0.227 0.454 0.788
```

Calculated values
SG: Cm (8)
M_tot, μB/f.u.: 0.000

***

Most stable one: Q, least stable one: P.

***

P.
Below is a geometry-optimized MgSb2O4F2 structure, with properties calculated at the GGA-PBE level.

```
MgSb2O4F2
1.0
2.233 -4.929 -0.272
3.862 4.554 -0.320
-0.250 -2.791 4.458
Mg Sb O F
1 2 4 2
direct
0.905 0.706 0.887
0.658 0.112 0.777
0.246 0.649 0.202
0.062 0.435 0.881
0.510 0.441 0.076
0.268 0.872 0.619
0.596 0.889 0.013
0.876 0.462 0.457
0.047 0.912 0.256
```

Calculated values
SG: P1 (1)
M_tot, μB/f.u.: 0.000

***

Q.
Below is a geometry-optimized MgSb2O4F2 structure, with properties calculated at the GGA-PBE level.

```
MgSb2O4F2
1.0
5.298 -0.291 1.032
-1.834 1.069 4.686
2.892 -4.904 1.177
Mg Sb O F
1 2 4 2
direct
0.783 0.472 0.837
0.049 0.001 0.078
0.501 0.488 0.481
0.175 0.716 0.755
0.625 0.729 0.196
0.447 0.281 0.767
0.768 0.258 0.126
0.133 0.274 0.503
0.820 0.692 0.544
```

Calculated values
SG: P1 (1)
M_tot, μB/f.u.: 0.000

***

Most stable one: Q, least stable one: P.

***

P.
Below is a geometry-optimized MgSb3O7F structure, with properties calculated at the GGA-PBE level.

```
MgSb3O7F
1.0
-5.928 -0.828 3.332
0.156 -4.826 4.501
1.195 2.630 2.778
Mg Sb O F
1 3 7 1
direct
0.646 0.053 0.500
0.019 0.979 0.000
0.257 0.323 0.000
0.719 0.651 0.000
0.050 0.659 0.000
0.305 0.977 0.000
0.962 0.009 0.500
0.342 0.289 0.500
0.684 0.722 0.500
0.705 0.033 0.000
0.953 0.326 0.000
0.513 0.497 0.000
```

Calculated values
SG: Pm (6)
M_tot, μB/f.u.: 0.000

***

Q.
Below is a geometry-optimized MgSb3O7F structure, with properties calculated at the GGA-PBE level.

```
MgSb3O7F
1.0
-5.919 3.042 0.503
-5.262 -4.003 -0.912
-0.074 -0.785 3.875
Mg Sb O F
1 3 7 1
direct
0.656 0.344 0.500
0.019 0.981 0.000
0.258 0.318 0.000
0.682 0.742 0.000
0.044 0.670 0.000
0.330 0.956 0.000
0.956 0.044 0.500
0.346 0.318 0.500
0.682 0.654 0.500
0.692 0.041 0.000
0.959 0.308 0.000
0.534 0.466 0.000
```

Calculated values
SG: Amm2 (38)
M_tot, μB/f.u.: 0.000

***

Most stable one: P, least stable one: Q.

***

P.
Below is a geometry-optimized MgSiO6F6 structure, with properties calculated at the GGA-PBE level.

```
MgSiO6F6
1.0
0.194 -5.544 2.282
1.282 -3.095 -5.395
9.772 1.049 1.720
Mg Si O F
2 2 12 12
direct
0.000 0.500 0.500
0.000 0.000 0.000
0.500 0.500 0.000
0.500 0.000 0.500
0.695 0.573 0.413
0.305 0.927 0.913
0.305 0.427 0.587
0.695 0.073 0.087
0.907 0.336 0.729
0.093 0.164 0.229
0.093 0.664 0.271
0.907 0.836 0.771
0.988 0.231 0.329
0.012 0.269 0.829
0.012 0.769 0.671
0.988 0.731 0.171
0.660 0.101 0.614
0.340 0.399 0.114
0.340 0.899 0.386
0.660 0.601 0.886
0.742 0.916 0.406
0.258 0.584 0.906
0.258 0.084 0.594
0.742 0.416 0.094
0.461 0.245 0.416
0.539 0.255 0.916
0.539 0.755 0.584
0.461 0.745 0.084
```

Calculated values
SG: P2_1/c (14)
M_tot, μB/f.u.: 0.019

***

Q.
Below is a geometry-optimized MgSiO6F6 structure, with properties calculated at the GGA-PBE level.

```
MgSiO6F6
1.0
9.630 0.000 0.000
0.000 6.658 0.000
0.000 3.198 6.147
Mg Si O F
2 2 12 12
direct
0.500 0.000 0.500
0.000 0.000 0.000
0.000 0.500 0.500
0.500 0.500 0.000
0.305 0.950 0.326
0.805 0.050 0.174
0.695 0.050 0.674
0.195 0.950 0.826
0.779 0.891 0.689
0.279 0.109 0.811
0.221 0.109 0.311
0.721 0.891 0.189
0.390 0.136 0.703
0.890 0.864 0.797
0.610 0.864 0.297
0.110 0.136 0.203
0.662 0.576 0.027
0.162 0.424 0.473
0.338 0.424 0.973
0.838 0.576 0.527
0.436 0.707 0.049
0.936 0.293 0.451
0.564 0.293 0.951
0.064 0.707 0.549
0.504 0.696 0.711
0.004 0.304 0.789
0.496 0.304 0.289
0.996 0.696 0.211
```

Calculated values
SG: P2_1/c (14)
M_tot, μB/f.u.: 0.000

***

Most stable one: Q, least stable one: P.